1.
# Cs2NaAlF6 | the Materials Project | PBE-GGA | optimized geometry
# M_tot: 0.00 μB/f.u.
data_Cs2NaAlF6
_cell_length_a 8.7502
_cell_length_b 8.7502
_cell_length_c 8.7502
_cell_angle_alpha 90.00
_cell_angle_beta 90.00
_cell_angle_gamma 90.00
_symmetry_space_group_name_H-M 'F m -3 m'
_symmetry_Int_Tables_number 225
_symmetry_space_group_name_Hall '-F 4 2 3'
loop_
_atom_site_label
_atom_site_fract_x
_atom_site_fract_y
_atom_site_fract_z
Cs1 0.2500 0.2500 0.2500
Na1 0.0000 0.0000 0.0000
Al1 0.0000 0.0000 0.5000
F1 0.0000 0.0000 0.2872

2.
# CsRb2AlF6 | the Materials Project | PBE-GGA | optimized geometry
# M_tot: 0.00 μB/f.u.
data_CsRb2AlF6
_cell_length_a 9.2919
_cell_length_b 9.2919
_cell_length_c 9.2919
_cell_angle_alpha 90.00
_cell_angle_beta 90.00
_cell_angle_gamma 90.00
_symmetry_space_group_name_H-M 'F m -3 m'
_symmetry_Int_Tables_number 225
_symmetry_space_group_name_Hall '-F 4 2 3'
loop_
_atom_site_label
_atom_site_fract_x
_atom_site_fract_y
_atom_site_fract_z
Cs1 0.0000 0.0000 0.0000
Rb1 0.2500 0.2500 0.2500
Al1 0.0000 0.0000 0.5000
F1 0.0000 0.0000 0.3019

3.
# CsAlZnF6 | the Materials Project | PBE-GGA | optimized geometry
# M_tot: 0.00 μB/f.u.
data_CsAlZnF6
_cell_length_a 7.2720
_cell_length_b 7.2119
_cell_length_c 10.2547
_cell_angle_alpha 90.00
_cell_angle_beta 90.00
_cell_angle_gamma 90.00
_symmetry_space_group_name_H-M 'P n m a'
_symmetry_Int_Tables_number 62
_symmetry_space_group_name_Hall '-P 2ac 2n'
loop_
_atom_site_label
_atom_site_fract_x
_atom_site_fract_y
_atom_site_fract_z
Cs1 0.0146 0.2500 0.1275
Al1 0.0000 0.0000 0.5000
Zn1 0.2215 0.2500 0.7618
F1 0.0369 0.2500 0.4612
F2 0.0374 0.7500 0.1683
F3 0.1421 0.0220 0.6448
F4 0.2041 0.5542 0.4045

4.
# Cs2AlGaH6 | the Materials Project | PBE-GGA | optimized geometry
# M_tot: 0.00 μB/f.u.
data_Cs2AlGaH6
_cell_length_a 8.6688
_cell_length_b 8.6688
_cell_length_c 8.6688
_cell_angle_alpha 90.00
_cell_angle_beta 90.00
_cell_angle_gamma 90.00
_symmetry_space_group_name_H-M 'F m -3 m'
_symmetry_Int_Tables_number 225
_symmetry_space_group_name_Hall '-F 4 2 3'
loop_
_atom_site_label
_atom_site_fract_x
_atom_site_fract_y
_atom_site_fract_z
Cs1 0.2500 0.2500 0.2500
Al1 0.0000 0.0000 0.0000
Ga1 0.0000 0.0000 0.5000
H1 0.0000 0.0000 0.2078

5.
# Cs2Na6Al6Ge7O30 | the Materials Project | PBE-GGA | optimized geometry
# M_tot: 5.99 μB/f.u.
data_Cs2Na6Al6Ge7O30
_cell_length_a 13.0241
_cell_length_b 13.0241
_cell_length_c 5.2457
_cell_angle_alpha 90.00
_cell_angle_beta 90.00
_cell_angle_gamma 120.00
_symmetry_space_group_name_H-M 'P 3'
_symmetry_Int_Tables_number 143
_symmetry_space_group_name_Hall 'P 3'
loop_
_atom_site_label
_atom_site_fract_x
_atom_site_fract_y
_atom_site_fract_z
Cs1 0.0000 0.0000 0.0000
Cs2 0.3333 0.6667 0.4994
Na1 0.3893 0.1951 0.0071
Na2 0.5323 0.0668 0.4922
Al1 0.0027 0.2519 0.4913
Al2 0.0840 0.6691 0.9910
Ge1 0.0001 0.7509 0.4913
Ge2 0.0842 0.4176 0.9913
Ge3 0.6667 0.3333 0.9096
O1 0.0397 0.6602 0.3140
O2 0.0460 0.3842 0.3166
O3 0.0496 0.5259 0.8883
O4 0.0963 0.9031 0.4435
O5 0.2363 0.4734 0.9424
O6 0.2818 0.1397 0.3887
O7 0.2882 0.2825 0.8164
O8 0.2935 0.0066 0.8143
O9 0.5496 0.3004 0.6620
O10 0.5782 0.2082 0.1327

6.
Density functional theory data (PBE-GGA) for a relaxed Cs3AlGe2O7 crystal.

```
data_Cs3AlGe2O7
_cell_length_a 9.7834
_cell_length_b 17.5350
_cell_length_c 7.7546
_cell_angle_alpha 90.00
_cell_angle_beta 126.72
_cell_angle_gamma 90.00
_symmetry_space_group_name_H-M 'C 1 2/c 1'
_symmetry_Int_Tables_number 15
_symmetry_space_group_name_Hall '-C 2yc'
loop_
_atom_site_label
_atom_site_fract_x
_atom_site_fract_y
_atom_site_fract_z
Cs1 0.0000 0.0114 0.2500
Cs2 0.2102 0.1958 0.7280
Al1 0.0000 0.4424 0.2500
Ge1 0.1617 0.4008 0.7381
O1 0.0000 0.3549 0.7500
O2 0.0993 0.3794 0.4744
O3 0.1406 0.1367 0.0637
O4 0.1590 0.4983 0.2679
```

7.
# Cs2AlInH6 | the Materials Project | PBE-GGA | optimized geometry
# M_tot: 0.00 μB/f.u.
data_Cs2AlInH6
_cell_length_a 8.8441
_cell_length_b 8.8441
_cell_length_c 8.8441
_cell_angle_alpha 90.00
_cell_angle_beta 90.00
_cell_angle_gamma 90.00
_symmetry_space_group_name_H-M 'F m -3 m'
_symmetry_Int_Tables_number 225
_symmetry_space_group_name_Hall '-F 4 2 3'
loop_
_atom_site_label
_atom_site_fract_x
_atom_site_fract_y
_atom_site_fract_z
Cs1 0.2500 0.2500 0.2500
Al1 0.0000 0.0000 0.0000
In1 0.0000 0.0000 0.5000
H1 0.0000 0.0000 0.2036

8.
# CsAlH24S2O20 | the Materials Project | PBE-GGA | optimized geometry
# M_tot: 12.00 μB/f.u.
data_CsAlH24S2O20
_cell_length_a 18.5799
_cell_length_b 18.5799
_cell_length_c 23.0283
_cell_angle_alpha 90.00
_cell_angle_beta 90.00
_cell_angle_gamma 120.00
_symmetry_space_group_name_H-M 'R -3'
_symmetry_Int_Tables_number 148
_symmetry_space_group_name_Hall '-R 3'
loop_
_atom_site_label
_atom_site_fract_x
_atom_site_fract_y
_atom_site_fract_z
Cs1 0.0000 0.0000 0.0000
Cs2 0.0000 0.5000 0.0000
Al1 0.0000 0.0000 0.5000
Al2 0.0000 0.5000 0.5000
H1 0.0048 0.6267 0.8412
H2 0.0072 0.6449 0.8116
H3 0.0115 0.8011 0.4841
H4 0.0169 0.2522 0.9340
H5 0.0189 0.2916 0.9440
H6 0.0208 0.9217 0.6366
H7 0.0221 0.8520 0.1328
H8 0.0251 0.1198 0.7385
H9 0.0282 0.8230 0.1523
H10 0.0321 0.0809 0.6342
H11 0.0331 0.7916 0.9706
H12 0.0482 0.1854 0.1796
H13 0.0554 0.2350 0.5657
H14 0.0585 0.4886 0.8191
H15 0.0705 0.5591 0.6789
H16 0.0825 0.1968 0.6984
S1 0.0000 0.0000 0.1763
S2 0.0516 0.5996 0.2737
O1 0.0000 0.0000 0.2410
O2 0.0049 0.8023 0.4413
O3 0.0065 0.0780 0.1532
O4 0.0092 0.3718 0.7155
O5 0.0093 0.5125 0.2517
O6 0.0088 0.7889 0.5640
O7 0.0274 0.1682 0.7186
O8 0.0361 0.9382 0.4585
O9 0.0570 0.6004 0.4607
O10 0.0594 0.8221 0.6626
O11 0.0620 0.4734 0.4499
O12 0.0691 0.8491 0.9848
O13 0.0744 0.2453 0.1897
O14 0.0881 0.5518 0.5510

| no. | energy (eV per atom) |
| --- | --- |
| 1 | -4.9533 |
| 2 | -4.8874 |
| 3 | -4.9494 |
| 4 | -2.9492 |
| 5 | -6.1324 |
| 6 | -5.9085 |
| 7 | -2.9343 |
| 8 | -4.5199 |